1.
The following is a PBE+U calculation of CoO2 after structural relaxation, from the Materials Project.

Cell: 2.8211 10.9487 4.9292 Å, 102.91 89.91 95.92°
Atoms (fractional coordinates):
Co: 0.5399 0.9921 0.5007
Co: 0.2950 0.4961 0.7483
Co: 0.0399 0.9921 0.0007
Co: 0.7950 0.4961 0.2483
O: 0.0044 0.9037 0.6241
O: 0.5043 0.9037 0.1240
O: 0.3299 0.5845 0.4592
O: 0.8299 0.5845 0.9593
O: 0.0752 0.0806 0.3773
O: 0.5753 0.0806 0.8774
O: 0.7597 0.4076 0.5370
O: 0.2597 0.4076 0.0370


2.
The following is a PBE+U calculation of CoO2 after structural relaxation, from the Materials Project.

SG: Fddd (70)
Crystal system: orthorhombic

Cell: 5.6638 5.6622 5.5863 Å, 60.68 119.33 88.01°
Atoms (fractional coordinates):
Co: 0.5000 0.0000 0.0000
Co: 0.5000 0.0000 0.5000
Co: 0.5000 0.5000 0.0000
Co: 0.0000 0.0000 0.5000
O: 0.2651 0.7675 0.9733
O: 0.2591 0.2084 0.5266
O: 0.7349 0.2325 0.0267
O: 0.7325 0.2351 0.4733
O: 0.7409 0.7916 0.4734
O: 0.2918 0.2410 0.0266
O: 0.2675 0.7649 0.5267
O: 0.7082 0.7590 0.9734


3.
The following is a PBE+U calculation of Co23O32 after structural relaxation, from the Materials Project.

SG: P1 (1)
Crystal system: triclinic

Cell: 8.2727 8.2841 10.0447 Å, 114.02 114.27 90.06°
Atoms (fractional coordinates):
Co: 0.3758 0.6240 0.7508
Co: 0.2437 0.2457 0.4962
Co: 0.3122 0.3121 0.8776
Co: 0.8689 0.1264 0.2475
Co: 0.0004 0.0024 0.4983
Co: 0.8781 0.1257 0.7484
Co: 0.5667 0.0650 0.3748
Co: 0.2507 0.7512 0.9996
Co: 0.7577 0.7548 0.5095
Co: 0.3804 0.6227 0.2581
Co: 0.1137 0.8698 0.2373
Co: 0.9397 0.4394 0.6279
Co: 0.5000 0.5035 0.4993
Co: 0.0006 0.4988 0.9975
Co: 0.0577 0.5617 0.3736
Co: 0.6263 0.3752 0.7512
Co: 0.7509 0.2468 0.0004
Co: 0.6275 0.3711 0.2490
Co: 0.4382 0.9463 0.6320
Co: 0.5008 0.0039 0.0023
Co: 0.1275 0.8794 0.7495
Co: 0.6876 0.6875 0.1240
Co: 0.1827 0.1807 0.1195
O: 0.2554 0.4819 0.5074
O: 0.1007 0.1171 0.2495
O: 0.9986 0.2283 0.4848
O: 0.8829 0.9012 0.2611
O: 0.6311 0.1354 0.2364
O: 0.4818 0.7666 0.9949
O: 0.7773 0.0035 0.5135
O: 0.2574 0.9775 0.9873
O: 0.1467 0.6490 0.7647
O: 0.6305 0.6114 0.2623
O: 0.3615 0.8607 0.2302
O: 0.0263 0.7320 0.0062
O: 0.2369 0.5196 0.0013
O: 0.5128 0.7444 0.5064
O: 0.3994 0.3756 0.2591
O: 0.1242 0.6202 0.2323
O: 0.8651 0.3679 0.7614
O: 0.5980 0.5929 0.7415
O: 0.9786 0.2571 0.9864
O: 0.4979 0.2584 0.5214
O: 0.7586 0.4788 0.9857
O: 0.6508 0.1472 0.7663
O: 0.3943 0.3767 0.7485
O: 0.8522 0.3536 0.2338
O: 0.7370 0.0320 0.0173
O: 0.2288 0.0078 0.4843
O: 0.5225 0.2433 0.0131
O: 0.3700 0.8796 0.7684
O: 0.1066 0.1063 0.7359
O: 0.0068 0.7785 0.5144
O: 0.8928 0.8925 0.7389
O: 0.7368 0.4977 0.4832


4.
The following is a PBE+U calculation of Co2PO5 after structural relaxation, from the Materials Project.

SG: I4_1/amd (141)
Crystal system: tetragonal
Energy above the lowest structure with this stoichiometry, meV/atom: 55

Cell: 5.3590 5.3592 7.3119 Å, 111.50 111.50 90.00°
Atoms (fractional coordinates):
Co: 0.0000 0.0000 0.0000
Co: 0.0000 0.5000 0.0000
Co: 0.0000 0.0000 0.5000
Co: 0.5000 0.0000 0.5000
P: 0.6250 0.3750 0.2500
P: 0.3750 0.6250 0.7500
O: 0.7977 0.3068 0.1136
O: 0.3068 0.7977 0.6136
O: 0.3068 0.3160 0.6136
O: 0.3160 0.3068 0.1136
O: 0.2023 0.6932 0.8864
O: 0.6932 0.2023 0.3864
O: 0.6932 0.6840 0.3864
O: 0.6840 0.6932 0.8864
O: 0.1250 0.8750 0.2500
O: 0.8750 0.1250 0.7500


5.
The following is a PBE+U calculation of Co3P4O14 after structural relaxation, from the Materials Project.

SG: P-1 (2)
Crystal system: triclinic
Energy above the lowest structure with this stoichiometry, meV/atom: 35

Cell: 5.7120 6.8769 7.5117 Å, 76.52 73.82 72.57°
Atoms (fractional coordinates):
Co: 0.7541 0.5227 0.6629
Co: 0.2459 0.4773 0.3371
Co: 0.0000 0.0000 0.0000
P: 0.2058 0.7098 0.6733
P: 0.3712 0.3090 0.9346
P: 0.6288 0.6910 0.0654
P: 0.7942 0.2902 0.3267
O: 0.4795 0.6871 0.5552
O: 0.7290 0.8487 0.1104
O: 0.9361 0.3644 0.4418
O: 0.2710 0.1513 0.8896
O: 0.0639 0.6356 0.5582
O: 0.3419 0.3062 0.1423
O: 0.0731 0.9130 0.7379
O: 0.2132 0.5380 0.8606
O: 0.9269 0.0870 0.2621
O: 0.5205 0.3129 0.4448
O: 0.3450 0.7058 0.1716
O: 0.6550 0.2942 0.8284
O: 0.7868 0.4620 0.1394
O: 0.6581 0.6938 0.8577


6.
The following is a PBE+U calculation of Co2P5O15 after structural relaxation, from the Materials Project.

SG: P2/c (13)
Crystal system: monoclinic
Energy above the lowest structure with this stoichiometry, meV/atom: 0

Cell: 12.8902 8.2621 5.2836 Å, 90.00 94.94 90.00°
Atoms (fractional coordinates):
Co: 0.9687 0.2925 0.8870
Co: 0.5332 0.2925 0.6118
Co: 0.4687 0.7075 0.3870
Co: 0.0332 0.7075 0.1118
P: 0.6044 0.8252 0.9417
P: 0.6435 0.4968 0.1317
P: 0.7511 0.0752 0.7496
P: 0.8587 0.4970 0.3672
P: 0.1044 0.1748 0.4417
P: 0.1435 0.5032 0.6317
P: 0.2511 0.9248 0.2496
P: 0.3587 0.5030 0.8672
P: 0.3977 0.1746 0.0569
P: 0.8977 0.8254 0.5569
O: 0.6057 0.3874 0.9201
O: 0.9613 0.8619 0.3389
O: 0.9256 0.5180 0.1462
O: 0.9518 0.7987 0.8167
O: 0.0411 0.1383 0.6603
O: 0.0506 0.2011 0.1823
O: 0.0768 0.4822 0.8531
O: 0.1057 0.6126 0.4201
O: 0.1763 0.3329 0.5185
O: 0.1682 0.8362 0.0865
O: 0.1965 0.0458 0.4396
O: 0.2512 0.5740 0.7490
O: 0.3341 0.8364 0.4125
O: 0.3059 0.0455 0.0595
O: 0.3258 0.3324 0.9796
O: 0.3962 0.6122 0.0789
O: 0.4256 0.4820 0.6462
O: 0.4613 0.1381 0.8389
O: 0.4518 0.2013 0.3167
O: 0.8258 0.6676 0.4796
O: 0.5411 0.8617 0.1603
O: 0.5768 0.5178 0.3531
O: 0.8962 0.3878 0.5789
O: 0.6763 0.6671 0.0185
O: 0.6682 0.1638 0.5865
O: 0.6965 0.9542 0.9396
O: 0.7512 0.4260 0.2490
O: 0.8341 0.1636 0.9125
O: 0.8059 0.9545 0.5595
O: 0.5506 0.7989 0.6823


Number 1: size of the total moment 0.00 μB per formula unit, ΔE_f -1.075 eV per atom. Number 2: size of the total moment 0.00 μB per formula unit, ΔE_f -1.023 eV per atom. Number 3: size of the total moment 19.61 μB per formula unit, ΔE_f -1.283 eV per atom. Number 4: size of the total moment 6.95 μB per formula unit, ΔE_f -1.896 eV per atom. Number 5: size of the total moment 11.00 μB per formula unit, ΔE_f -2.150 eV per atom. Number 6: size of the total moment 7.00 μB per formula unit, ΔE_f -2.332 eV per atom.